Record 1
# Pr2MgSe4 (GGA-PBE, optimized geometry)
data_Pr2MgSe4
_chemical_formula_sum 'Pr8 Mg4 Se16'
_space_group_name_H-M_alt 'P -1'
_space_group_IT_number 2
_space_group_name_Hall '-P 1'
_cell_length_a 7.7840
_cell_length_b 9.0761
_cell_length_c 13.7149
_cell_angle_alpha 99.60
_cell_angle_beta 96.00
_cell_angle_gamma 90.16
loop_
_atom_site_label
_atom_site_fract_x
_atom_site_fract_y
_atom_site_fract_z
Pr1 0.1315 0.4433 0.3078
Pr2 0.1354 0.9600 0.3117
Pr3 0.2558 0.1322 0.0007
Pr4 0.3667 0.3003 0.6895
Mg1 0.2514 0.6204 0.9942
Mg2 0.3645 0.7996 0.7033
Se1 0.0900 0.4129 0.0997
Se2 0.1146 0.8902 0.1034
Se3 0.1992 0.5500 0.6233
Se4 0.2024 0.0139 0.6276
Se5 0.3054 0.7195 0.3839
Se6 0.3445 0.2205 0.3762
Se7 0.3840 0.8388 0.8929
Se8 0.4143 0.3597 0.8981
# energy of formation from the pure elements: -12.2 eV per formula unit
# relative energy among the computed polymorphs: 184.7 meV/atom
# electronic total energy: -5.07 eV per atom

***

Record 2
# InTe5Pb4 (GGA-PBE, optimized geometry)
data_InTe5Pb4
_chemical_formula_sum 'In2 Te10 Pb8'
_space_group_name_H-M_alt 'I 4/m m m'
_space_group_IT_number 139
_space_group_name_Hall '-I 4 2'
_cell_length_a 4.5993
_cell_length_b 4.5993
_cell_length_c 33.1287
_cell_angle_alpha 90.00
_cell_angle_beta 90.00
_cell_angle_gamma 90.00
loop_
_atom_site_label
_atom_site_fract_x
_atom_site_fract_y
_atom_site_fract_z
In1 0.0000 0.0000 0.0000
Te1 0.0000 0.0000 0.0995
Te2 0.0000 0.0000 0.3001
Te3 0.0000 0.0000 0.5000
Pb1 0.0000 0.0000 0.1998
Pb2 0.0000 0.0000 0.4001
# energy of formation from the pure elements: -3.6 eV per formula unit
# electronic total energy: -3.69 eV per atom

***

Record 3
# KRb2NbF6 (GGA-PBE, optimized geometry)
data_KRb2NbF6
_chemical_formula_sum 'K4 Rb8 Nb4 F24'
_space_group_name_H-M_alt 'F m -3 m'
_space_group_IT_number 225
_space_group_name_Hall '-F 4 2 3'
_cell_length_a 9.3081
_cell_length_b 9.3081
_cell_length_c 9.3081
_cell_angle_alpha 90.00
_cell_angle_beta 90.00
_cell_angle_gamma 90.00
loop_
_atom_site_label
_atom_site_fract_x
_atom_site_fract_y
_atom_site_fract_z
K1 0.0000 0.0000 0.0000
Rb1 0.2500 0.2500 0.2500
Nb1 0.0000 0.0000 0.5000
F1 0.0000 0.0000 0.2733
# energy of formation from the pure elements: -29.9 eV per formula unit
# electronic total energy: -5.18 eV per atom

***

Record 4
# Na5Zr2Si3Sn2P3O24 (GGA-PBE, optimized geometry)
data_Na5Zr2Si3Sn2P3O24
_chemical_formula_sum 'Na15 Zr6 Si9 Sn6 P9 O72'
_space_group_name_H-M_alt 'P 1'
_space_group_IT_number 1
_space_group_name_Hall 'P 1'
_cell_length_a 9.0392
_cell_length_b 9.0426
_cell_length_c 22.9247
_cell_angle_alpha 89.91
_cell_angle_beta 89.85
_cell_angle_gamma 60.02
loop_
_atom_site_label
_atom_site_fract_x
_atom_site_fract_y
_atom_site_fract_z
Na1 0.0000 0.0000 0.0000
Na2 0.0014 0.7321 0.4993
Na3 0.0211 0.6725 0.8367
Na4 0.0278 0.0322 0.3383
Na5 0.3234 0.7093 0.9192
Na6 0.3315 0.7013 0.4177
Na7 0.6321 0.3611 0.5044
Na8 0.6336 0.7361 0.0046
Na9 0.6419 0.0473 0.0875
Na10 0.6431 0.0412 0.5867
Na11 0.6672 0.3987 0.8328
Na12 0.9589 0.7017 0.1709
Na13 0.9608 0.0688 0.6693
Na14 0.9891 0.3763 0.2537
Na15 0.9969 0.3691 0.7509
Zr1 0.0048 0.3600 0.8998
Zr2 0.3314 0.7000 0.5669
Zr3 0.3327 0.6984 0.0691
Zr4 0.3353 0.7050 0.7699
Zr5 0.6595 0.0306 0.9382
Zr6 0.9964 0.3675 0.1069
Si1 0.0000 0.6601 0.0025
Si2 0.2884 0.3617 0.5025
Si3 0.2908 0.0741 0.0046
Si4 0.6211 0.7049 0.1715
Si5 0.6301 0.4006 0.6686
Si6 0.6620 0.7424 0.8349
Si7 0.9553 0.0337 0.8345
Si8 0.9569 0.7382 0.3351
Si9 0.9957 0.0783 0.5002
Sn1 0.0011 0.3721 0.3995
Sn2 0.3349 0.6952 0.2724
Sn3 0.6590 0.0319 0.2351
Sn4 0.6611 0.0345 0.4366
Sn5 0.6611 0.0353 0.7332
Sn6 0.9965 0.3676 0.6037
P1 0.0329 0.6981 0.6695
P2 0.0347 0.9936 0.1726
P3 0.3311 0.9987 0.6683
P4 0.3348 0.4058 0.1721
P5 0.3705 0.0341 0.3358
P6 0.3727 0.3241 0.8337
P7 0.6622 0.3261 0.3362
P8 0.7045 0.3677 0.0021
P9 0.7091 0.6572 0.5013
O1 0.0149 0.1711 0.1661
O2 0.0158 0.5377 0.6635
O3 0.0204 0.5502 0.9436
O4 0.0218 0.1631 0.4408
O5 0.1176 0.8786 0.1182
O6 0.1188 0.7284 0.6152
O7 0.1372 0.8552 0.8287
O8 0.1401 0.6772 0.7244
O9 0.1426 0.9106 0.2281
O10 0.1440 0.7326 0.3301
O11 0.1589 0.8850 0.5075
O12 0.1608 0.4168 0.4464
O13 0.1627 0.6896 0.0083
O14 0.1639 0.1739 0.6643
O15 0.1669 0.1578 0.9478
O16 0.1715 0.3918 0.1657
O17 0.1857 0.1906 0.3406
O18 0.1906 0.3516 0.8397
O19 0.1937 0.1911 0.0607
O20 0.2044 0.3327 0.5609
O21 0.2933 0.5241 0.2259
O22 0.2996 0.9140 0.7223
O23 0.3106 0.8833 0.0091
O24 0.3120 0.5319 0.5094
O25 0.3468 0.8748 0.3307
O26 0.3534 0.5044 0.8281
O27 0.3533 0.8873 0.6146
O28 0.3596 0.4897 0.1176
O29 0.4481 0.0681 0.2814
O30 0.4503 0.2152 0.7788
O31 0.4805 0.0046 0.3907
O32 0.4813 0.0487 0.0002
O33 0.4825 0.1974 0.4954
O34 0.4858 0.2439 0.8875
O35 0.4924 0.0139 0.6743
O36 0.4979 0.2292 0.1784
O37 0.4985 0.7114 0.8307
O38 0.5024 0.5052 0.3308
O39 0.5124 0.7284 0.1118
O40 0.5154 0.4933 0.6107
O41 0.5296 0.5303 0.0090
O42 0.5316 0.6720 0.2277
O43 0.5321 0.6731 0.5089
O44 0.5396 0.5148 0.7268
O45 0.6320 0.2510 0.3930
O46 0.6322 0.8536 0.8942
O47 0.6454 0.8750 0.1743
O48 0.6542 0.2069 0.6722
O49 0.6913 0.2055 0.9970
O50 0.6953 0.2077 0.2831
O51 0.6959 0.8341 0.4942
O52 0.7014 0.8300 0.7792
O53 0.7825 0.3989 0.9463
O54 0.7842 0.5402 0.4475
O55 0.8156 0.5396 0.1673
O56 0.8206 0.3386 0.0552
O57 0.8229 0.0575 0.4958
O58 0.8233 0.5833 0.5559
O59 0.8242 0.3760 0.6646
O60 0.8284 0.8515 0.9988
O61 0.8305 0.3341 0.3408
O62 0.8341 0.5537 0.8396
O63 0.8352 0.0736 0.7762
O64 0.8452 0.8254 0.2763
O65 0.8568 0.0054 0.1767
O66 0.8569 0.8658 0.6730
O67 0.8688 0.0050 0.8931
O68 0.8759 0.8600 0.3936
O69 0.9516 0.1983 0.5588
O70 0.9634 0.5746 0.0599
O71 0.9661 0.2080 0.8394
O72 0.9721 0.5502 0.3395
# energy of formation from the pure elements: -111.0 eV per formula unit
# electronic total energy: -7.12 eV per atom